(1)
Na10Zn4Si5Sn4S7O48 | the Materials Project database | PBE | relaxed; formation energy from the elements = -2182 meV/atom; electronic total energy = -0.21912 hartree per atom; symmetry = P1 (1); crystal system = triclinic
1.0
-12.746 -9.588 -8.206
8.576 -2.812 -0.134
-3.584 -12.043 18.645
Na Zn Si Sn S O
30 12 15 12 21 144
direct
0.323 0.024 0.254 Na
0.678 0.345 0.253 Na
0.999 0.638 0.238 Na
0.500 0.634 0.237 Na
0.320 0.618 0.756 Na
0.820 0.618 0.755 Na
0.999 0.366 0.739 Na
0.499 0.366 0.738 Na
0.178 0.012 0.751 Na
0.678 0.013 0.750 Na
0.334 0.971 0.570 Na
0.834 0.972 0.570 Na
0.334 0.698 0.070 Na
0.833 0.696 0.069 Na
0.481 0.681 0.911 Na
0.982 0.681 0.910 Na
0.484 0.285 0.409 Na
0.166 0.027 0.405 Na
0.988 0.007 0.494 Na
0.501 0.996 0.493 Na
0.998 0.004 0.993 Na
0.497 0.003 0.994 Na
0.325 0.343 0.830 Na
0.825 0.343 0.829 Na
0.328 0.327 0.324 Na
0.818 0.278 0.331 Na
0.154 0.666 0.158 Na
0.653 0.679 0.160 Na
0.149 0.631 0.659 Na
0.650 0.633 0.658 Na
0.995 0.002 0.352 Zn
0.502 0.010 0.348 Zn
0.998 0.990 0.849 Zn
0.498 0.990 0.849 Zn
0.344 0.356 0.685 Zn
0.844 0.356 0.684 Zn
0.340 0.332 0.186 Zn
0.835 0.324 0.183 Zn
0.163 0.665 0.018 Zn
0.663 0.664 0.018 Zn
0.163 0.655 0.518 Zn
0.667 0.664 0.517 Zn
0.146 0.002 0.256 Si
0.651 0.006 0.252 Si
0.502 0.297 0.254 Si
0.147 0.292 0.752 Si
0.647 0.293 0.753 Si
0.002 0.708 0.754 Si
0.502 0.708 0.755 Si
0.486 0.334 0.585 Si
0.984 0.333 0.587 Si
0.485 0.636 0.086 Si
0.983 0.628 0.086 Si
0.314 0.673 0.922 Si
0.815 0.673 0.921 Si
0.315 0.957 0.423 Si
0.816 0.958 0.420 Si
0.008 0.013 0.650 Sn
0.510 0.016 0.650 Sn
0.005 0.994 0.149 Sn
0.508 0.003 0.151 Sn
0.334 0.347 0.984 Sn
0.834 0.344 0.983 Sn
0.338 0.331 0.484 Sn
0.837 0.319 0.482 Sn
0.168 0.673 0.319 Sn
0.670 0.682 0.315 Sn
0.167 0.658 0.818 Sn
0.666 0.658 0.818 Sn
0.349 0.705 0.251 S
0.853 0.710 0.250 S
0.004 0.295 0.251 S
0.351 0.995 0.750 S
0.851 0.995 0.751 S
0.184 0.042 0.585 S
0.685 0.041 0.586 S
0.336 0.631 0.585 S
0.836 0.628 0.584 S
0.335 0.042 0.085 S
0.837 0.044 0.085 S
0.185 0.327 0.087 S
0.683 0.328 0.085 S
0.016 0.366 0.919 S
0.515 0.366 0.919 S
0.172 0.969 0.919 S
0.672 0.969 0.919 S
0.170 0.376 0.419 S
0.673 0.376 0.418 S
0.016 0.659 0.418 S
0.517 0.667 0.418 S
0.100 0.015 0.317 O
0.605 0.038 0.308 O
0.401 0.789 0.303 O
0.907 0.799 0.300 O
0.479 0.181 0.314 O
0.994 0.195 0.304 O
0.101 0.169 0.809 O
0.601 0.169 0.809 O
0.480 0.777 0.814 O
0.981 0.778 0.814 O
0.405 0.022 0.802 O
0.905 0.022 0.802 O
0.388 0.961 0.694 O
0.887 0.961 0.695 O
0.084 0.225 0.694 O
0.584 0.228 0.694 O
0.022 0.837 0.695 O
0.521 0.837 0.695 O
0.385 0.813 0.195 O
0.887 0.812 0.192 O
0.014 0.218 0.195 O
0.521 0.206 0.195 O
0.080 0.948 0.199 O
0.588 0.950 0.193 O
0.438 0.344 0.645 O
0.940 0.344 0.648 O
0.234 0.132 0.637 O
0.731 0.126 0.639 O
0.325 0.532 0.639 O
0.826 0.534 0.640 O
0.436 0.531 0.146 O
0.936 0.523 0.147 O
0.325 0.120 0.140 O
0.826 0.123 0.138 O
0.235 0.335 0.138 O
0.731 0.340 0.138 O
0.219 0.292 0.029 O
0.723 0.298 0.030 O
0.421 0.552 0.026 O
0.920 0.545 0.027 O
0.343 0.146 0.030 O
0.847 0.144 0.029 O
0.223 0.146 0.527 O
0.725 0.150 0.530 O
0.344 0.544 0.530 O
0.844 0.540 0.530 O
0.422 0.290 0.526 O
0.917 0.286 0.531 O
0.264 0.676 0.981 O
0.765 0.677 0.981 O
0.067 0.455 0.970 O
0.567 0.455 0.970 O
0.159 0.854 0.968 O
0.660 0.855 0.968 O
0.263 0.851 0.481 O
0.770 0.857 0.482 O
0.160 0.460 0.470 O
0.659 0.464 0.468 O
0.070 0.673 0.467 O
0.566 0.678 0.470 O
0.050 0.624 0.360 O
0.552 0.626 0.362 O
0.255 0.880 0.361 O
0.756 0.869 0.362 O
0.181 0.475 0.361 O
0.683 0.470 0.360 O
0.051 0.478 0.862 O
0.551 0.477 0.862 O
0.183 0.896 0.860 O
0.683 0.896 0.860 O
0.260 0.648 0.859 O
0.760 0.648 0.859 O
0.012 0.816 0.413 O
0.506 0.814 0.411 O
0.412 0.990 0.417 O
0.912 0.984 0.411 O
0.098 0.200 0.415 O
0.598 0.202 0.416 O
0.007 0.199 0.912 O
0.506 0.198 0.911 O
0.097 0.992 0.916 O
0.597 0.992 0.916 O
0.412 0.837 0.917 O
0.912 0.838 0.916 O
0.485 0.144 0.586 O
0.984 0.143 0.587 O
0.096 0.019 0.584 O
0.595 0.017 0.585 O
0.417 0.803 0.585 O
0.917 0.802 0.585 O
0.484 0.825 0.087 O
0.984 0.818 0.087 O
0.417 0.032 0.085 O
0.920 0.035 0.087 O
0.094 0.175 0.089 O
0.595 0.174 0.084 O
0.337 0.141 0.744 O
0.837 0.141 0.745 O
0.243 0.313 0.742 O
0.743 0.314 0.743 O
0.422 0.514 0.747 O
0.922 0.514 0.748 O
0.338 0.535 0.245 O
0.845 0.541 0.245 O
0.423 0.334 0.247 O
0.931 0.327 0.248 O
0.243 0.160 0.245 O
0.745 0.180 0.242 O
0.325 0.495 0.920 O
0.826 0.496 0.920 O
0.427 0.351 0.922 O
0.928 0.352 0.922 O
0.254 0.139 0.923 O
0.755 0.140 0.923 O
0.320 0.154 0.421 O
0.822 0.152 0.419 O
0.253 0.366 0.421 O
0.755 0.371 0.423 O
0.428 0.503 0.421 O
0.926 0.508 0.422 O
0.180 0.484 0.082 O
0.679 0.485 0.080 O
0.078 0.654 0.076 O
0.579 0.660 0.076 O
0.262 0.867 0.081 O
0.765 0.867 0.081 O
0.180 0.875 0.581 O
0.680 0.875 0.581 O
0.262 0.659 0.581 O
0.762 0.657 0.581 O
0.079 0.499 0.576 O
0.580 0.500 0.574 O
0.153 0.817 0.257 O
0.656 0.827 0.254 O
0.261 0.693 0.255 O
0.763 0.682 0.254 O
0.086 0.472 0.254 O
0.595 0.485 0.259 O
0.160 0.489 0.756 O
0.660 0.490 0.756 O
0.094 0.703 0.758 O
0.594 0.704 0.758 O
0.264 0.835 0.755 O
0.764 0.835 0.755 O

(2)
Lu2ZnRu | the Materials Project database | PBE | relaxed; formation energy from the elements = -441 meV/atom; electronic total energy = -0.19606 hartree per atom; symmetry = Fm-3m (225); crystal system = cubic
1.0
1.317 -3.389 -3.163
2.320 -3.942 1.518
-2.233 -4.271 -0.026
Lu Zn Ru
2 1 1
direct
0.250 0.250 0.250 Lu
0.750 0.750 0.750 Lu
0.000 0.000 0.000 Zn
0.500 0.500 0.500 Ru

(3)
TbAgH10C20N6O8 | the Materials Project database | PBE | relaxed; formation energy from the elements = -523 meV/atom; electronic total energy = -0.26693 hartree per atom; symmetry = C2/c (15); crystal system = monoclinic
1.0
-10.845 -0.999 2.770
1.424 -10.349 -4.141
-0.364 -5.736 7.113
Tb Ag H C N O
2 2 20 40 12 16
direct
0.906 0.094 0.750 Tb
0.094 0.906 0.250 Tb
0.638 0.362 0.750 Ag
0.362 0.638 0.250 Ag
0.819 0.341 0.121 H
0.659 0.181 0.379 H
0.181 0.659 0.879 H
0.341 0.819 0.621 H
0.939 0.573 0.614 H
0.427 0.061 0.886 H
0.061 0.427 0.386 H
0.573 0.939 0.114 H
0.853 0.749 0.980 H
0.251 0.147 0.520 H
0.147 0.251 0.020 H
0.749 0.853 0.480 H
0.834 0.375 0.373 H
0.625 0.166 0.127 H
0.166 0.625 0.627 H
0.375 0.834 0.873 H
0.669 0.679 0.207 H
0.321 0.331 0.293 H
0.331 0.321 0.793 H
0.679 0.669 0.707 H
0.827 0.543 0.069 C
0.457 0.173 0.431 C
0.173 0.457 0.931 C
0.543 0.827 0.569 C
0.841 0.434 0.028 C
0.566 0.159 0.472 C
0.159 0.566 0.972 C
0.434 0.841 0.528 C
0.883 0.445 0.864 C
0.555 0.117 0.636 C
0.117 0.555 0.136 C
0.445 0.883 0.364 C
0.909 0.565 0.742 C
0.435 0.091 0.758 C
0.091 0.435 0.258 C
0.565 0.909 0.242 C
0.899 0.674 0.786 C
0.326 0.101 0.714 C
0.101 0.326 0.214 C
0.674 0.899 0.286 C
0.859 0.663 0.949 C
0.337 0.141 0.551 C
0.141 0.337 0.051 C
0.663 0.859 0.449 C
0.778 0.446 0.371 C
0.554 0.222 0.129 C
0.222 0.554 0.629 C
0.446 0.778 0.871 C
0.694 0.605 0.290 C
0.395 0.306 0.210 C
0.306 0.395 0.710 C
0.605 0.694 0.790 C
0.894 0.325 0.823 C
0.675 0.106 0.677 C
0.106 0.675 0.177 C
0.325 0.894 0.323 C
0.925 0.806 0.660 C
0.194 0.075 0.840 C
0.075 0.194 0.340 C
0.806 0.925 0.160 C
0.773 0.532 0.235 N
0.468 0.227 0.265 N
0.227 0.468 0.765 N
0.532 0.773 0.735 N
0.707 0.468 0.499 N
0.532 0.293 0.001 N
0.293 0.532 0.501 N
0.468 0.707 0.999 N
0.653 0.568 0.448 N
0.432 0.347 0.052 N
0.347 0.432 0.552 N
0.568 0.653 0.948 N
0.883 0.222 0.936 O
0.778 0.117 0.564 O
0.117 0.778 0.064 O
0.222 0.883 0.436 O
0.912 0.328 0.677 O
0.672 0.088 0.823 O
0.088 0.672 0.323 O
0.328 0.912 0.177 O
0.952 0.812 0.513 O
0.188 0.048 0.987 O
0.048 0.188 0.487 O
0.812 0.952 0.013 O
0.911 0.899 0.711 O
0.101 0.089 0.789 O
0.089 0.101 0.289 O
0.899 0.911 0.211 O